[1]
First-principles (PBE) data for an optimized crystal structure of Tb4Pt, as listed in the Materials Project.

Values from the calculation:
Formation energy, eV/atom: -0.03
Crystal system: cubic

abc: 7.7676 7.7676 7.7676
angles: 60.00 60.00 60.00
Fractional coordinates of all 10 atoms:
Tb 0.6100 0.6100 0.6100
Tb 0.1699 0.6100 0.6100
Tb 0.6100 0.1699 0.6100
Tb 0.5801 0.1400 0.1400
Tb 0.1400 0.1400 0.1400
Tb 0.6100 0.6100 0.1699
Tb 0.1400 0.5801 0.1400
Tb 0.1400 0.1400 0.5801
Pt 0.0000 0.0000 0.0000
Pt 0.7500 0.7500 0.7500


[2]
First-principles (PBE) data for an optimized crystal structure of Tb3Pt4, as listed in the Materials Project.

Values from the calculation:
Formation energy, eV/atom: -1.21
Crystal system: trigonal

abc: 7.9152 7.9152 7.9152
angles: 114.36 114.36 114.36
Fractional coordinates of all 14 atoms:
Tb 0.0268 0.2807 0.4039
Tb 0.2807 0.4039 0.0268
Tb 0.4039 0.0268 0.2807
Tb 0.9732 0.7193 0.5961
Tb 0.7193 0.5961 0.9732
Tb 0.5961 0.9732 0.7193
Pt 0.0000 0.0000 0.0000
Pt 0.5000 0.5000 0.5000
Pt 0.0608 0.5525 0.2247
Pt 0.5525 0.2247 0.0608
Pt 0.2247 0.0608 0.5525
Pt 0.9392 0.4475 0.7753
Pt 0.4475 0.7753 0.9392
Pt 0.7753 0.9392 0.4475


[3]
First-principles (PBE) data for an optimized crystal structure of TbPt, as listed in the Materials Project.

Values from the calculation:
Formation energy, eV/atom: -1.19
Crystal system: cubic

abc: 3.5148 3.5148 3.5148
angles: 90.00 90.00 90.00
Fractional coordinates of all 2 atoms:
Tb 0.0000 0.0000 0.0000
Pt 0.5000 0.5000 0.5000


[4]
First-principles (PBE) data for an optimized crystal structure of Tb2Pt, as listed in the Materials Project.

Values from the calculation:
Formation energy, eV/atom: -0.92
Crystal system: orthorhombic

abc: 4.8027 7.2081 8.8523
angles: 90.00 90.00 90.00
Fractional coordinates of all 12 atoms:
Tb 0.7500 0.6427 0.4175
Tb 0.2500 0.3573 0.5825
Tb 0.7500 0.1427 0.0825
Tb 0.2500 0.8573 0.9175
Tb 0.7500 0.5086 0.8339
Tb 0.2500 0.4914 0.1661
Tb 0.7500 0.0086 0.6661
Tb 0.2500 0.9914 0.3339
Pt 0.7500 0.2410 0.4085
Pt 0.2500 0.7590 0.5915
Pt 0.7500 0.7410 0.0915
Pt 0.2500 0.2590 0.9085


[5]
First-principles (PBE) data for an optimized crystal structure of Tb5Pt4, as listed in the Materials Project.

Values from the calculation:
Formation energy, eV/atom: -1.14
Crystal system: orthorhombic

abc: 7.4907 7.6054 14.8923
angles: 90.00 90.00 90.00
Fractional coordinates of all 36 atoms:
Tb 0.6269 0.1649 0.6183
Tb 0.1269 0.3351 0.8817
Tb 0.3731 0.8351 0.1183
Tb 0.8731 0.6649 0.3817
Tb 0.3731 0.8351 0.3817
Tb 0.8731 0.6649 0.1183
Tb 0.6269 0.1649 0.8817
Tb 0.1269 0.3351 0.6183
Tb 0.4713 0.6726 0.5998
Tb 0.9713 0.8274 0.9002
Tb 0.5287 0.3274 0.0998
Tb 0.0287 0.1726 0.4002
Tb 0.5287 0.3274 0.4002
Tb 0.0287 0.1726 0.0998
Tb 0.4713 0.6726 0.9002
Tb 0.9713 0.8274 0.5998
Tb 0.7909 0.5068 0.7500
Tb 0.2909 0.9932 0.7500
Tb 0.2091 0.4932 0.2500
Tb 0.7091 0.0068 0.2500
Pt 0.7098 0.9767 0.4551
Pt 0.2098 0.5233 0.0449
Pt 0.2902 0.0233 0.9551
Pt 0.7902 0.4767 0.5449
Pt 0.2902 0.0233 0.5449
Pt 0.7902 0.4767 0.9551
Pt 0.7098 0.9767 0.0449
Pt 0.2098 0.5233 0.4551
Pt 0.4225 0.3788 0.7500
Pt 0.9225 0.1212 0.7500
Pt 0.5775 0.6212 0.2500
Pt 0.0775 0.8788 0.2500
Pt 0.6592 0.8603 0.7500
Pt 0.1592 0.6397 0.7500
Pt 0.3408 0.1397 0.2500
Pt 0.8408 0.3603 0.2500


[6]
First-principles (PBE) data for an optimized crystal structure of TbPt, as listed in the Materials Project.

Values from the calculation:
Formation energy, eV/atom: -1.27
Crystal system: orthorhombic

abc: 4.5758 5.5798 7.0674
angles: 90.00 90.00 90.00
Fractional coordinates of all 8 atoms:
Tb 0.2500 0.3576 0.6836
Tb 0.2500 0.1424 0.1836
Tb 0.7500 0.6424 0.3164
Tb 0.7500 0.8576 0.8164
Pt 0.2500 0.8449 0.5417
Pt 0.2500 0.6551 0.0417
Pt 0.7500 0.1551 0.4583
Pt 0.7500 0.3449 0.9583


[7]
First-principles (PBE) data for an optimized crystal structure of TbPt3, as listed in the Materials Project.

Values from the calculation:
Formation energy, eV/atom: -0.99
Crystal system: cubic

abc: 4.1318 4.1318 4.1318
angles: 90.00 90.00 90.00
Fractional coordinates of all 4 atoms:
Tb 0.0000 0.0000 0.0000
Pt 0.5000 0.5000 0.0000
Pt 0.5000 0.0000 0.5000
Pt 0.0000 0.5000 0.5000


[8]
First-principles (PBE) data for an optimized crystal structure of Ti2TcPt, as listed in the Materials Project.

Values from the calculation:
Formation energy, eV/atom: -0.74
Crystal system: cubic

abc: 4.4256 4.4256 4.4256
angles: 60.00 60.00 60.00
Fractional coordinates of all 4 atoms:
Ti 0.2500 0.2500 0.2500
Ti 0.7500 0.7500 0.7500
Tc 0.0000 0.0000 0.0000
Pt 0.5000 0.5000 0.5000


[9]
First-principles (PBE) data for an optimized crystal structure of TePt, as listed in the Materials Project.

Values from the calculation:
Formation energy, eV/atom: -0.35
Crystal system: trigonal

abc: 7.2473 7.2473 7.2473
angles: 32.19 32.19 32.19
Fractional coordinates of all 4 atoms:
Te 0.9041 0.9041 0.9041
Te 0.0959 0.0959 0.0959
Pt 0.6306 0.6306 0.6306
Pt 0.3694 0.3694 0.3694


[10]
First-principles (PBE) data for an optimized crystal structure of Te2Pt, as listed in the Materials Project.

Values from the calculation:
Formation energy, eV/atom: -0.40
Crystal system: trigonal

abc: 4.0923 4.0923 5.3450
angles: 90.00 90.00 120.00
Fractional coordinates of all 3 atoms:
Te 0.6667 0.3333 0.7451
Te 0.3333 0.6667 0.2549
Pt 0.0000 0.0000 0.0000


[11]
First-principles (PBE) data for an optimized crystal structure of Te4Pt3, as listed in the Materials Project.

Values from the calculation:
Formation energy, eV/atom: 0.19
Crystal system: monoclinic
Energy relative to the lowest polymorph listed for this composition, eV/atom: 0.5737

abc: 6.9775 6.9775 7.1237
angles: 80.32 80.32 45.23
Fractional coordinates of all 7 atoms:
Te 0.4404 0.4404 0.6797
Te 0.5596 0.5596 0.3203
Te 0.2016 0.2016 0.9860
Te 0.7984 0.7984 0.0140
Pt 0.0673 0.0673 0.3318
Pt 0.9327 0.9327 0.6682
Pt 0.0000 0.0000 0.0000


[12]
First-principles (PBE) data for an optimized crystal structure of Te4Pt3, as listed in the Materials Project.

Values from the calculation:
Formation energy, eV/atom: 0.24
Crystal system: monoclinic
Energy relative to the lowest polymorph listed for this composition, eV/atom: 0.6214

abc: 8.3304 8.3304 7.4259
angles: 83.24 83.24 32.62
Fractional coordinates of all 7 atoms:
Te 0.1575 0.1575 0.0368
Te 0.8425 0.8425 0.9632
Te 0.3912 0.3912 0.6721
Te 0.6088 0.6088 0.3279
Pt 0.0000 0.0000 0.0000
Pt 0.0402 0.0402 0.3389
Pt 0.9598 0.9598 0.6611


[13]
First-principles (PBE) data for an optimized crystal structure of Te4Pt3, as listed in the Materials Project.

Values from the calculation:
Formation energy, eV/atom: -0.38
Crystal system: trigonal
Energy relative to the lowest polymorph listed for this composition, eV/atom: 0.0000

abc: 12.3611 12.3611 12.3611
angles: 18.85 18.85 18.85
Fractional coordinates of all 7 atoms:
Te 0.9463 0.9463 0.9463
Te 0.0537 0.0537 0.0537
Te 0.2046 0.2046 0.2046
Te 0.7954 0.7954 0.7954
Pt 0.5000 0.5000 0.5000
Pt 0.6463 0.6463 0.6463
Pt 0.3537 0.3537 0.3537


[14]
First-principles (PBE) data for an optimized crystal structure of TePt, as listed in the Materials Project.

Values from the calculation:
Formation energy, eV/atom: -0.21
Crystal system: hexagonal

abc: 4.2629 4.2629 5.6618
angles: 90.00 90.00 120.00
Fractional coordinates of all 4 atoms:
Te 0.3333 0.6667 0.2500
Te 0.6667 0.3333 0.7500
Pt 0.0000 0.0000 0.0000
Pt 0.0000 0.0000 0.5000


[15]
First-principles (PBE) data for an optimized crystal structure of Zr6Te2Pt, as listed in the Materials Project.

Values from the calculation:
Formation energy, eV/atom: -0.71
Crystal system: hexagonal

abc: 7.8010 7.8010 3.7896
angles: 90.00 90.00 120.00
Fractional coordinates of all 9 atoms:
Zr 0.2500 0.0000 0.5000
Zr 0.0000 0.2500 0.5000
Zr 0.7500 0.7500 0.5000
Zr 0.5922 0.0000 0.0000
Zr 0.0000 0.5922 0.0000
Zr 0.4078 0.4078 0.0000
Te 0.3333 0.6667 0.5000
Te 0.6667 0.3333 0.5000
Pt 0.0000 0.0000 0.0000


[16]
First-principles (PBE) data for an optimized crystal structure of ThPt2, as listed in the Materials Project.

Values from the calculation:
Formation energy, eV/atom: -1.23
Crystal system: tetragonal

abc: 7.8462 7.8462 7.8462
angles: 148.94 148.94 44.50
Fractional coordinates of all 6 atoms:
Th 0.6560 0.6560 0.0000
Th 0.3440 0.3440 0.0000
Pt 0.0000 0.5000 0.5000
Pt 0.5000 0.0000 0.5000
Pt 0.8634 0.8634 0.0000
Pt 0.1366 0.1366 0.0000


[17]
First-principles (PBE) data for an optimized crystal structure of Ti3Pt5, as listed in the Materials Project.

Values from the calculation:
Formation energy, eV/atom: -0.94
Crystal system: orthorhombic

abc: 7.4313 7.4313 7.4313
angles: 136.61 112.51 83.71
Fractional coordinates of all 16 atoms:
Ti 0.6448 0.4353 0.7905
Ti 0.8552 0.1457 0.2905
Ti 0.3552 0.5647 0.2095
Ti 0.1448 0.8543 0.7095
Ti 0.7500 0.0000 0.7500
Ti 0.2500 0.0000 0.2500
Pt 0.1039 0.3167 0.2128
Pt 0.3961 0.1088 0.7128
Pt 0.8961 0.6833 0.7872
Pt 0.6039 0.8912 0.2872
Pt 0.9931 0.2431 0.7500
Pt 0.5069 0.7569 0.7500
Pt 0.0069 0.7569 0.2500
Pt 0.4931 0.2431 0.2500
Pt 0.2500 0.5000 0.7500
Pt 0.7500 0.5000 0.2500


[18]
First-principles (PBE) data for an optimized crystal structure of TiPt8, as listed in the Materials Project.

Values from the calculation:
Formation energy, eV/atom: -0.44
Crystal system: tetragonal

abc: 3.9403 6.2773 6.2773
angles: 84.35 71.71 71.71
Fractional coordinates of all 9 atoms:
Ti 0.0000 0.0000 0.0000
Pt 0.6619 0.0000 0.6762
Pt 0.3381 0.0000 0.3238
Pt 0.3381 0.3238 0.0000
Pt 0.0000 0.3290 0.6710
Pt 0.6710 0.3290 0.3290
Pt 0.3290 0.6710 0.6710
Pt 0.0000 0.6710 0.3290
Pt 0.6619 0.6762 0.0000


[19]
First-principles (PBE) data for an optimized crystal structure of ZrTiPt, as listed in the Materials Project.

Values from the calculation:
Formation energy, eV/atom: -0.70
Crystal system: orthorhombic

abc: 5.3435 5.4607 8.7523
angles: 90.00 90.00 120.65
Fractional coordinates of all 12 atoms:
Zr 0.6497 0.3248 0.5639
Zr 0.3180 0.6590 0.4489
Zr 0.3180 0.6590 0.0511
Zr 0.6497 0.3248 0.9361
Ti 0.6991 0.8496 0.7500
Ti 0.8187 0.6530 0.2500
Ti 0.8185 0.1654 0.2500
Ti 0.3386 0.1694 0.2500
Pt 0.9894 0.9948 0.4913
Pt 0.9894 0.9948 0.0087
Pt 0.2054 0.3569 0.7500
Pt 0.2053 0.8485 0.7500


[20]
First-principles (PBE) data for an optimized crystal structure of Tl2Pt3, as listed in the Materials Project.

Values from the calculation:
Formation energy, eV/atom: -0.10
Crystal system: hexagonal

abc: 5.7352 5.7352 14.2591
angles: 90.00 90.00 120.00
Fractional coordinates of all 20 atoms:
Tl 0.0000 0.0000 0.2500
Tl 0.0000 0.0000 0.7500
Tl 0.3333 0.6667 0.2500
Tl 0.6667 0.3333 0.7500
Tl 0.3333 0.6667 0.5893
Tl 0.6667 0.3333 0.0893
Tl 0.6667 0.3333 0.4107
Tl 0.3333 0.6667 0.9107
Pt 0.1654 0.3308 0.4128
Pt 0.1654 0.8346 0.4128
Pt 0.6692 0.8346 0.4128
Pt 0.8346 0.1654 0.9128
Pt 0.3308 0.1654 0.9128
Pt 0.8346 0.6692 0.9128
Pt 0.8346 0.6692 0.5872
Pt 0.8346 0.1654 0.5872
Pt 0.3308 0.1654 0.5872
Pt 0.1654 0.8346 0.0872
Pt 0.6692 0.8346 0.0872
Pt 0.1654 0.3308 0.0872


[21]
First-principles (PBE) data for an optimized crystal structure of Tl2Pt, as listed in the Materials Project.

Values from the calculation:
Formation energy, eV/atom: 0.01
Crystal system: tetragonal

abc: 5.9251 5.9251 5.9251
angles: 103.12 103.12 123.08
Fractional coordinates of all 6 atoms:
Tl 0.1575 0.3425 0.5000
Tl 0.6575 0.1575 0.8150
Tl 0.8425 0.6575 0.5000
Tl 0.3425 0.8425 0.1850
Pt 0.5000 0.5000 0.0000
Pt 0.0000 0.0000 0.0000


[22]
First-principles (PBE) data for an optimized crystal structure of Tl2Pt, as listed in the Materials Project.

Values from the calculation:
Formation energy, eV/atom: -0.05
Crystal system: tetragonal

abc: 5.6808 5.7326 5.7326
angles: 75.79 60.30 60.30
Fractional coordinates of all 6 atoms:
Tl 0.3393 0.8215 0.5000
Tl 0.1607 0.5000 0.1785
Tl 0.6607 0.1785 0.5000
Tl 0.8393 0.5000 0.8215
Pt 0.7500 0.0000 0.0000
Pt 0.2500 0.0000 0.0000


[23]
First-principles (PBE) data for an optimized crystal structure of Tl3Pt, as listed in the Materials Project.

Values from the calculation:
Formation energy, eV/atom: 0.16
Crystal system: cubic

abc: 5.9103 5.9103 5.9103
angles: 90.00 90.00 90.00
Fractional coordinates of all 8 atoms:
Tl 0.0000 0.5000 0.7500
Tl 0.5000 0.2500 0.0000
Tl 0.7500 0.0000 0.5000
Tl 0.0000 0.5000 0.2500
Tl 0.5000 0.7500 0.0000
Tl 0.2500 0.0000 0.5000
Pt 0.5000 0.5000 0.5000
Pt 0.0000 0.0000 0.0000